No. 1
This record from the Materials Project database describes a relaxed LiNi2P2 crystal. The functional is r2SCAN.

Lattice parameters (Å, degrees): 3.735 3.735 5.266 110.77 110.77 90.00
Fractional coordinates of all 5 atoms:
Li 0.000 0.000 0.000
Ni 0.250 0.750 0.500
Ni 0.750 0.250 0.500
P 0.382 0.382 0.763
P 0.618 0.618 0.237

Calculated total energy (hartree per atom): -0.350
Energy of formation from the pure elements (eV/atom): -0.645

***

No. 2
This record from the Materials Project database describes a relaxed Li5Ni9P7 crystal. The functional is r2SCAN.

Lattice parameters (Å, degrees): 8.940 8.940 3.614 90.00 90.00 120.00
Fractional coordinates of all 21 atoms:
Li 0.887 0.785 0.500
Li 0.898 0.113 0.500
Li 0.215 0.102 0.500
Li 0.333 0.667 0.000
Li 0.667 0.333 0.500
Ni 0.711 0.880 0.000
Ni 0.169 0.289 0.000
Ni 0.120 0.831 0.000
Ni 0.627 0.571 0.000
Ni 0.945 0.373 0.000
Ni 0.429 0.055 0.000
Ni 0.562 0.954 0.500
Ni 0.392 0.438 0.500
Ni 0.046 0.608 0.500
P 0.586 0.713 0.500
P 0.127 0.414 0.500
P 0.287 0.873 0.500
P 0.000 0.000 0.000
P 0.878 0.577 0.000
P 0.699 0.122 0.000
P 0.423 0.301 0.000

Calculated total energy (hartree per atom): -0.345
Energy of formation from the pure elements (eV/atom): -0.683

***

No. 3
This record from the Materials Project database describes a relaxed LiO8 crystal. The functional is r2SCAN.

Lattice parameters (Å, degrees): 5.279 5.551 5.551 63.99 54.14 54.14
Fractional coordinates of all 9 atoms:
Li 0.476 0.796 0.796
O 0.834 0.354 0.802
O 0.164 0.233 0.665
O 0.164 0.665 0.233
O 0.834 0.802 0.354
O 0.831 0.309 0.309
O 0.163 0.718 0.718
O 0.152 0.186 0.186
O 0.841 0.843 0.843

Calculated total energy (hartree per atom): -0.215
Energy of formation from the pure elements (eV/atom): -0.275

***

No. 4
This record from the Materials Project database describes a relaxed LiO8 crystal. The functional is r2SCAN.

Lattice parameters (Å, degrees): 4.130 5.554 5.554 72.91 71.73 71.73
Fractional coordinates of all 9 atoms:
Li 0.500 0.500 0.500
O 0.834 0.330 0.728
O 0.166 0.272 0.670
O 0.166 0.670 0.272
O 0.834 0.728 0.330
O 0.847 0.243 0.243
O 0.153 0.757 0.757
O 0.169 0.185 0.185
O 0.831 0.815 0.815

Calculated total energy (hartree per atom): -0.215
Energy of formation from the pure elements (eV/atom): -0.275

***

No. 5
This record from the Materials Project database describes a relaxed Li2O crystal. The functional is r2SCAN.

Lattice parameters (Å, degrees): 3.291 3.291 3.291 60.00 60.00 60.00
Fractional coordinates of all 3 atoms:
Li 0.750 0.750 0.750
Li 0.250 0.250 0.250
O 0.000 0.000 0.000

Calculated total energy (hartree per atom): -0.206
Energy of formation from the pure elements (eV/atom): -2.027

***

No. 6
This record from the Materials Project database describes a relaxed Li2O crystal. The functional is r2SCAN.

Lattice parameters (Å, degrees): 5.045 3.081 5.817 90.00 90.00 90.00
Fractional coordinates of all 12 atoms:
Li 0.012 0.250 0.159
Li 0.141 0.250 0.580
Li 0.359 0.750 0.080
Li 0.488 0.750 0.659
Li 0.512 0.250 0.341
Li 0.641 0.250 0.920
Li 0.859 0.750 0.420
Li 0.988 0.750 0.841
O 0.246 0.750 0.400
O 0.254 0.250 0.900
O 0.746 0.750 0.100
O 0.754 0.250 0.600

Calculated total energy (hartree per atom): -0.203
Energy of formation from the pure elements (eV/atom): -1.943

***

No. 7
This record from the Materials Project database describes a relaxed Li3PO4 crystal. The functional is r2SCAN.

Lattice parameters (Å, degrees): 4.893 6.071 10.416 90.00 90.00 90.00
Fractional coordinates of all 32 atoms:
Li 0.695 0.498 0.164
Li 0.195 0.502 0.336
Li 0.305 0.998 0.836
Li 0.805 0.002 0.664
Li 0.305 0.502 0.836
Li 0.805 0.498 0.664
Li 0.695 0.002 0.164
Li 0.195 0.998 0.336
Li 0.797 0.250 0.424
Li 0.297 0.750 0.076
Li 0.203 0.750 0.576
Li 0.703 0.250 0.924
P 0.691 0.750 0.412
P 0.809 0.750 0.912
P 0.309 0.250 0.588
P 0.191 0.250 0.088
O 0.625 0.250 0.589
O 0.794 0.957 0.341
O 0.125 0.750 0.911
O 0.375 0.750 0.411
O 0.794 0.543 0.341
O 0.294 0.043 0.159
O 0.206 0.457 0.659
O 0.706 0.543 0.841
O 0.206 0.043 0.659
O 0.706 0.957 0.841
O 0.795 0.750 0.551
O 0.294 0.457 0.159
O 0.705 0.750 0.051
O 0.205 0.250 0.449
O 0.295 0.250 0.949
O 0.875 0.250 0.089

Calculated total energy (hartree per atom): -0.281
Energy of formation from the pure elements (eV/atom): -2.631

***

No. 8
This record from the Materials Project database describes a relaxed Li3PO4 crystal. The functional is r2SCAN.

Lattice parameters (Å, degrees): 4.813 5.202 6.057 90.00 90.00 90.00
Fractional coordinates of all 16 atoms:
Li 0.510 0.842 0.000
Li 0.010 0.158 0.500
Li 0.509 0.328 0.748
Li 0.009 0.672 0.752
Li 0.009 0.672 0.248
Li 0.509 0.328 0.252
P 0.501 0.825 0.500
P 0.001 0.175 0.000
O 0.108 0.313 0.209
O 0.603 0.106 0.500
O 0.181 0.820 0.500
O 0.681 0.180 0.000
O 0.608 0.687 0.709
O 0.108 0.313 0.791
O 0.103 0.894 0.000
O 0.608 0.687 0.291

Calculated total energy (hartree per atom): -0.281
Energy of formation from the pure elements (eV/atom): -2.633

***

No. 9
This record from the Materials Project database describes a relaxed LiPPbO4 crystal. The functional is r2SCAN.

Lattice parameters (Å, degrees): 4.938 7.957 18.614 90.00 90.00 90.00
Fractional coordinates of all 56 atoms:
Li 0.697 0.323 0.848
Li 0.197 0.677 0.152
Li 0.197 0.177 0.348
Li 0.697 0.823 0.652
Li 0.197 0.489 0.443
Li 0.697 0.511 0.557
Li 0.697 0.011 0.943
Li 0.197 0.989 0.057
P 0.194 0.234 0.929
P 0.694 0.766 0.071
P 0.694 0.266 0.429
P 0.194 0.734 0.571
P 0.691 0.714 0.820
P 0.191 0.286 0.180
P 0.191 0.786 0.320
P 0.691 0.214 0.680
Pb 0.233 0.526 0.730
Pb 0.733 0.474 0.270
Pb 0.733 0.974 0.230
Pb 0.233 0.026 0.770
Pb 0.247 0.678 0.947
Pb 0.747 0.322 0.053
Pb 0.747 0.822 0.447
Pb 0.247 0.178 0.553
O 0.078 0.250 0.852
O 0.578 0.750 0.148
O 0.578 0.250 0.352
O 0.078 0.750 0.648
O 0.117 0.394 0.972
O 0.617 0.606 0.028
O 0.617 0.106 0.472
O 0.117 0.894 0.528
O 0.580 0.232 0.757
O 0.080 0.768 0.243
O 0.080 0.268 0.257
O 0.580 0.732 0.743
O 0.558 0.055 0.648
O 0.058 0.945 0.352
O 0.058 0.445 0.148
O 0.558 0.555 0.852
O 0.001 0.196 0.682
O 0.501 0.804 0.318
O 0.501 0.304 0.182
O 0.001 0.696 0.818
O 0.610 0.367 0.635
O 0.110 0.633 0.365
O 0.110 0.133 0.135
O 0.610 0.867 0.865
O 0.503 0.717 0.574
O 0.003 0.283 0.426
O 0.003 0.783 0.074
O 0.503 0.217 0.926
O 0.062 0.584 0.533
O 0.562 0.416 0.467
O 0.562 0.916 0.033
O 0.062 0.084 0.967

Calculated total energy (hartree per atom): -0.565
Energy of formation from the pure elements (eV/atom): -2.303

***

No. 10
This record from the Materials Project database describes a relaxed Li2U3P2O15 crystal. The functional is r2SCAN.

Lattice parameters (Å, degrees): 13.545 13.545 13.545 149.48 149.48 43.70
Fractional coordinates of all 44 atoms:
Li 0.315 0.315 0.000
Li 0.065 0.565 0.500
Li 0.435 0.935 0.500
Li 0.685 0.685 0.000
U 0.084 0.084 0.000
U 0.666 0.166 0.500
U 0.916 0.916 0.000
U 0.500 0.500 0.000
U 0.834 0.334 0.500
U 0.250 0.750 0.500
P 0.788 0.788 0.000
P 0.538 0.038 0.500
P 0.962 0.462 0.500
P 0.212 0.212 0.000
O 0.663 0.417 0.754
O 0.000 0.000 0.000
O 0.249 0.077 0.828
O 0.827 0.659 0.832
O 0.087 0.833 0.746
O 0.249 0.420 0.172
O 0.170 0.499 0.672
O 0.091 0.337 0.754
O 0.745 0.077 0.668
O 0.409 0.077 0.332
O 0.087 0.341 0.254
O 0.583 0.337 0.246
O 0.923 0.255 0.332
O 0.827 0.499 0.328
O 0.663 0.909 0.246
O 0.321 0.821 0.500
O 0.659 0.913 0.746
O 0.429 0.429 0.000
O 0.005 0.173 0.832
O 0.923 0.751 0.172
O 0.923 0.591 0.668
O 0.341 0.173 0.168
O 0.501 0.173 0.672
O 0.179 0.679 0.500
O 0.827 0.995 0.168
O 0.571 0.571 0.000
O 0.167 0.913 0.254
O 0.580 0.751 0.828
O 0.501 0.830 0.328
O 0.750 0.250 0.500

Calculated total energy (hartree per atom): -0.698
Energy of formation from the pure elements (eV/atom): -2.974

***

No. 11
This record from the Materials Project database describes a relaxed LiPaO3 crystal. The functional is r2SCAN.

Lattice parameters (Å, degrees): 4.318 4.318 4.318 90.00 90.00 90.00
Fractional coordinates of all 5 atoms:
Li 0.000 0.000 0.000
Pa 0.500 0.500 0.500
O 0.500 0.500 0.000
O 0.500 0.000 0.500
O 0.000 0.500 0.500

Calculated total energy (hartree per atom): -0.830
Energy of formation from the pure elements (eV/atom): -3.142

***

No. 12
This record from the Materials Project database describes a relaxed LiPrO2 crystal. The functional is r2SCAN.

Lattice parameters (Å, degrees): 6.133 5.804 5.814 77.68 90.00 90.00
Fractional coordinates of all 16 atoms:
Li 0.358 0.336 0.690
Li 0.642 0.664 0.310
Li 0.142 0.336 0.190
Li 0.858 0.664 0.810
Pr 0.570 0.201 0.199
Pr 0.070 0.799 0.301
Pr 0.430 0.799 0.801
Pr 0.930 0.201 0.699
O 0.739 0.908 0.517
O 0.761 0.908 0.017
O 0.239 0.092 0.983
O 0.261 0.092 0.483
O 0.869 0.427 0.296
O 0.369 0.573 0.204
O 0.131 0.573 0.704
O 0.631 0.427 0.796

Calculated total energy (hartree per atom): -0.513
Energy of formation from the pure elements (eV/atom): -3.020